[1]
A geometry-optimized K4Te8O23 structure. Source: the Materials Project database, functional PBE.

The structure in CIF format:
```
data_K4Te8O23
_cell_length_a 20.004
_cell_length_b 7.409
_cell_length_c 14.864
_cell_angle_alpha 90.00
_cell_angle_beta 90.00
_cell_angle_gamma 90.00
_symmetry_space_group_name_H-M 'P n m a'
_symmetry_Int_Tables_number 62
_symmetry_space_group_name_Hall '-P 2ac 2n'
loop_
_atom_site_label
_atom_site_fract_x
_atom_site_fract_y
_atom_site_fract_z
K1 0.062 0.250 0.241
K2 0.071 0.250 0.748
K3 0.172 0.250 0.499
K4 0.185 0.250 0.995
Te1 0.000 0.000 0.000
Te2 0.000 0.000 0.500
Te3 0.108 0.750 0.128
Te4 0.123 0.750 0.371
Te5 0.128 0.750 0.617
Te6 0.136 0.750 0.875
Te7 0.244 0.001 0.237
O1 0.010 0.250 0.455
O2 0.032 0.250 0.027
O3 0.032 0.563 0.120
O4 0.058 0.564 0.395
O5 0.076 0.020 0.575
O6 0.077 0.750 0.779
O7 0.080 0.750 0.252
O8 0.089 0.548 0.952
O9 0.162 0.750 0.492
O10 0.167 0.506 0.161
O11 0.182 0.000 0.820
O12 0.188 0.564 0.348
O13 0.202 0.563 0.635
O14 0.220 0.250 0.276
O15 0.235 0.250 0.704
```

Magnetic moment ... 0.002 μB/atom
Energy relative to the elements ... -1.632 eV per atom
Corrected total energy (MP2020 scheme) ... -5.7290 eV/atom

[2]
A geometry-optimized K2TiTe3O12 structure. Source: the Materials Project database, functional PBE.

The structure in CIF format:
```
data_K2TiTe3O12
_cell_length_a 12.475
_cell_length_b 7.257
_cell_length_c 7.217
_cell_angle_alpha 90.00
_cell_angle_beta 124.91
_cell_angle_gamma 90.00
_symmetry_space_group_name_H-M 'C 1 2 1'
_symmetry_Int_Tables_number 5
_symmetry_space_group_name_Hall 'C 2y'
loop_
_atom_site_label
_atom_site_fract_x
_atom_site_fract_y
_atom_site_fract_z
K1 0.140 0.000 0.388
Ti1 0.000 0.531 0.000
Te1 0.000 0.532 0.500
Te2 0.250 0.282 0.999
O1 0.067 0.535 0.321
O2 0.126 0.732 0.674
O3 0.127 0.726 0.067
O4 0.128 0.334 0.673
O5 0.128 0.341 0.068
O6 0.173 0.033 0.927
```

Magnetic moment ... 0.000 μB/atom
Energy relative to the elements ... -1.989 eV per atom
Corrected total energy (MP2020 scheme) ... -6.3732 eV/atom

[3]
A geometry-optimized K2U3Te2O14 structure. Source: the Materials Project database, functional PBE.

The structure in CIF format:
```
data_K2U3Te2O14
_cell_length_a 7.012
_cell_length_b 7.120
_cell_length_c 8.148
_cell_angle_alpha 106.41
_cell_angle_beta 102.13
_cell_angle_gamma 97.59
_symmetry_space_group_name_H-M 'P -1'
_symmetry_Int_Tables_number 2
_symmetry_space_group_name_Hall '-P 1'
loop_
_atom_site_label
_atom_site_fract_x
_atom_site_fract_y
_atom_site_fract_z
K1 0.203 0.397 0.344
U1 0.102 0.165 0.740
U2 0.500 0.000 0.500
Te1 0.337 0.676 0.009
O1 0.106 0.948 0.821
O2 0.113 0.395 0.671
O3 0.133 0.736 0.126
O4 0.180 0.004 0.476
O5 0.316 0.410 0.024
O6 0.463 0.180 0.775
O7 0.469 0.764 0.555
```

Magnetic moment ... 0.000 μB/atom
Energy relative to the elements ... -2.877 eV per atom
Corrected total energy (MP2020 scheme) ... -8.1938 eV/atom

[4]
A geometry-optimized K2ThO3 structure. Source: the Materials Project database, functional PBE.

The structure in CIF format:
```
data_K2ThO3
_cell_length_a 6.452
_cell_length_b 11.192
_cell_length_c 12.809
_cell_angle_alpha 90.00
_cell_angle_beta 99.92
_cell_angle_gamma 90.00
_symmetry_space_group_name_H-M 'C 1 2/c 1'
_symmetry_Int_Tables_number 15
_symmetry_space_group_name_Hall '-C 2yc'
loop_
_atom_site_label
_atom_site_fract_x
_atom_site_fract_y
_atom_site_fract_z
K1 0.000 0.084 0.250
K2 0.237 0.078 0.999
K3 0.250 0.250 0.500
Th1 0.000 0.250 0.750
Th2 0.000 0.418 0.250
O1 0.082 0.416 0.652
O2 0.158 0.108 0.652
O3 0.159 0.277 0.153
```

Energy relative to the elements ... -2.953 eV per atom
Corrected total energy (MP2020 scheme) ... -7.0328 eV/atom

[5]
A geometry-optimized KThTi2O6 structure. Source: the Materials Project database, functional PBE.

The structure in CIF format:
```
data_KThTi2O6
_cell_length_a 3.956
_cell_length_b 3.956
_cell_length_c 7.843
_cell_angle_alpha 90.00
_cell_angle_beta 90.00
_cell_angle_gamma 90.00
_symmetry_space_group_name_H-M 'P 4/m m m'
_symmetry_Int_Tables_number 123
_symmetry_space_group_name_Hall '-P 4 2'
loop_
_atom_site_label
_atom_site_fract_x
_atom_site_fract_y
_atom_site_fract_z
K1 0.000 0.000 0.000
Th1 0.000 0.000 0.500
Ti1 0.500 0.500 0.246
O1 0.000 0.500 0.285
O2 0.500 0.500 0.000
O3 0.500 0.500 0.500
```

Magnetic moment ... 0.029 μB/atom
Energy relative to the elements ... -3.452 eV per atom
Corrected total energy (MP2020 scheme) ... -8.8525 eV/atom

[6]
A geometry-optimized K2Ti4O9 structure. Source: the Materials Project database, functional PBE.

The structure in CIF format:
```
data_K2Ti4O9
_cell_length_a 18.627
_cell_length_b 3.806
_cell_length_c 12.171
_cell_angle_alpha 90.00
_cell_angle_beta 106.45
_cell_angle_gamma 90.00
_symmetry_space_group_name_H-M 'C 1 2/m 1'
_symmetry_Int_Tables_number 12
_symmetry_space_group_name_Hall '-C 2y'
loop_
_atom_site_label
_atom_site_fract_x
_atom_site_fract_y
_atom_site_fract_z
K1 0.024 0.000 0.332
K2 0.085 0.000 0.084
Ti1 0.122 0.500 0.862
Ti2 0.162 0.500 0.625
Ti3 0.203 0.500 0.396
Ti4 0.246 0.500 0.166
O1 0.034 0.500 0.881
O2 0.085 0.500 0.684
O3 0.123 0.500 0.463
O4 0.152 0.000 0.858
O5 0.161 0.500 0.243
O6 0.182 0.500 0.027
O7 0.192 0.000 0.642
O8 0.229 0.000 0.421
O9 0.233 0.500 0.800
```

Energy relative to the elements ... -3.262 eV per atom
Corrected total energy (MP2020 scheme) ... -8.4846 eV/atom

[7]
A geometry-optimized K2Ti8O17 structure. Source: the Materials Project database, functional PBE.

The structure in CIF format:
```
data_K2Ti8O17
_cell_length_a 15.915
_cell_length_b 3.807
_cell_length_c 12.109
_cell_angle_alpha 90.00
_cell_angle_beta 95.69
_cell_angle_gamma 90.00
_symmetry_space_group_name_H-M 'C 1 2/m 1'
_symmetry_Int_Tables_number 12
_symmetry_space_group_name_Hall '-C 2y'
loop_
_atom_site_label
_atom_site_fract_x
_atom_site_fract_y
_atom_site_fract_z
K1 0.056 0.000 0.305
Ti1 0.110 0.500 0.571
Ti2 0.151 0.500 0.828
Ti3 0.195 0.500 0.076
Ti4 0.243 0.500 0.332
O1 0.000 0.500 0.500
O2 0.065 0.500 0.718
O3 0.108 0.500 0.963
O4 0.136 0.000 0.585
O5 0.153 0.500 0.211
O6 0.171 0.500 0.436
O7 0.186 0.000 0.822
O8 0.227 0.500 0.681
O9 0.228 0.000 0.068
```

Energy relative to the elements ... -3.374 eV per atom
Corrected total energy (MP2020 scheme) ... -8.9111 eV/atom

[8]
A geometry-optimized K5TlO4 structure. Source: the Materials Project database, functional PBE.

The structure in CIF format:
```
data_K5TlO4
_cell_length_a 6.949
_cell_length_b 20.987
_cell_length_c 12.067
_cell_angle_alpha 90.00
_cell_angle_beta 90.00
_cell_angle_gamma 90.00
_symmetry_space_group_name_H-M 'P b c a'
_symmetry_Int_Tables_number 61
_symmetry_space_group_name_Hall '-P 2ac 2ab'
loop_
_atom_site_label
_atom_site_fract_x
_atom_site_fract_y
_atom_site_fract_z
K1 0.075 0.141 0.200
K2 0.084 0.065 0.938
K3 0.086 0.504 0.162
K4 0.101 0.749 0.580
K5 0.103 0.671 0.828
Tl1 0.176 0.123 0.462
O1 0.140 0.620 0.048
O2 0.192 0.546 0.365
O3 0.232 0.713 0.377
O4 0.238 0.625 0.639
```

Magnetic moment ... 0.000 μB/atom
Energy relative to the elements ... -1.405 eV per atom
Corrected total energy (MP2020 scheme) ... -4.1752 eV/atom

| no. | energy (eV per cell) |
| --- | --- |
| 1 | -738.86 |
| 2 | -212.95 |
| 3 | -162.45 |
| 4 | -321.09 |
| 5 | -84.40 |
| 6 | -484.35 |
| 7 | -457.84 |
| 8 | -312.03 |